1.
Below is a geometry-optimized Ti2NiP3O12 structure, with properties calculated at the GGA+U level.

## Properties
Calculated density (g/cm³): 3.329
Calculated formation energy (eV/atom): -2.799
SG: R-3c

Geometry as POSCAR:
```
Ti2NiP3O12
1.0
4.293 2.478 6.867
-4.293 2.478 6.867
0.000 -4.957 6.867
Ti Ni P O
4 2 6 24
direct
0.144 0.144 0.144
0.356 0.356 0.356
0.644 0.644 0.644
0.856 0.856 0.856
0.000 0.000 0.000
0.500 0.500 0.500
0.045 0.750 0.455
0.250 0.545 0.955
0.455 0.045 0.750
0.545 0.955 0.250
0.750 0.455 0.045
0.955 0.250 0.545
0.000 0.182 0.386
0.000 0.818 0.614
0.057 0.911 0.257
0.089 0.743 0.943
0.114 0.318 0.500
0.182 0.386 0.000
0.243 0.589 0.443
0.257 0.057 0.911
0.318 0.500 0.114
0.386 0.000 0.182
0.411 0.557 0.757
0.443 0.243 0.589
0.500 0.114 0.318
0.500 0.886 0.682
0.557 0.757 0.411
0.589 0.443 0.243
0.614 0.000 0.818
0.682 0.500 0.886
0.743 0.943 0.089
0.757 0.411 0.557
0.818 0.614 0.000
0.886 0.682 0.500
0.911 0.257 0.057
0.943 0.089 0.743
```

***

2.
Below is a geometry-optimized TiNiP2O9 structure, with properties calculated at the GGA+U level.

## Properties
Calculated density (g/cm³): 2.919
Calculated formation energy (eV/atom): -2.370
SG: Pnma

Geometry as POSCAR:
```
TiNiP2O9
1.0
14.027 0.000 0.000
0.000 6.403 0.000
0.000 0.000 7.917
Ti Ni P O
4 4 8 36
direct
0.116 0.250 0.162
0.384 0.750 0.662
0.616 0.250 0.338
0.884 0.750 0.838
0.000 0.000 0.500
0.000 0.500 0.500
0.500 0.000 0.000
0.500 0.500 0.000
0.059 0.750 0.154
0.186 0.750 0.606
0.314 0.250 0.106
0.441 0.250 0.654
0.559 0.750 0.346
0.686 0.750 0.894
0.814 0.250 0.394
0.941 0.250 0.846
0.018 0.750 0.335
0.021 0.250 0.978
0.051 0.250 0.350
0.121 0.554 0.131
0.121 0.946 0.131
0.126 0.549 0.601
0.126 0.951 0.601
0.241 0.250 0.957
0.249 0.250 0.266
0.251 0.750 0.766
0.259 0.750 0.457
0.374 0.049 0.101
0.374 0.451 0.101
0.379 0.054 0.631
0.379 0.446 0.631
0.449 0.750 0.850
0.479 0.750 0.478
0.482 0.250 0.835
0.518 0.750 0.165
0.521 0.250 0.522
0.551 0.250 0.150
0.621 0.554 0.369
0.621 0.946 0.369
0.626 0.549 0.899
0.626 0.951 0.899
0.741 0.250 0.543
0.749 0.250 0.234
0.751 0.750 0.734
0.759 0.750 0.043
0.874 0.049 0.399
0.874 0.451 0.399
0.879 0.054 0.869
0.879 0.446 0.869
0.949 0.750 0.650
0.979 0.750 0.022
0.982 0.250 0.665
```

***

3.
Below is a geometry-optimized Ti3VNi2P6O24 structure, with properties calculated at the GGA+U level.

## Properties
Calculated density (g/cm³): 3.277
Calculated formation energy (eV/atom): -2.744
SG: R3

Geometry as POSCAR:
```
Ti3VNi2P6O24
1.0
4.322 2.495 6.906
-4.322 2.495 6.906
0.000 -4.990 6.906
Ti V Ni P O
3 1 2 6 24
direct
0.000 0.000 0.000
0.212 0.212 0.212
0.710 0.710 0.710
0.496 0.496 0.496
0.356 0.356 0.356
0.856 0.856 0.856
0.104 0.810 0.401
0.309 0.604 0.901
0.401 0.104 0.810
0.604 0.901 0.309
0.810 0.401 0.104
0.901 0.309 0.604
0.031 0.864 0.241
0.100 0.297 0.446
0.112 0.767 0.921
0.171 0.972 0.354
0.241 0.031 0.864
0.257 0.615 0.410
0.297 0.446 0.100
0.344 0.539 0.748
0.354 0.171 0.972
0.410 0.257 0.615
0.446 0.100 0.297
0.472 0.672 0.854
0.539 0.748 0.344
0.597 0.942 0.801
0.615 0.410 0.257
0.672 0.854 0.472
0.748 0.344 0.539
0.767 0.921 0.112
0.801 0.597 0.942
0.854 0.472 0.672
0.864 0.241 0.031
0.921 0.112 0.767
0.942 0.801 0.597
0.972 0.354 0.171
```

***

4.
Below is a geometry-optimized Ti3V2NiP6O24 structure, with properties calculated at the GGA+U level.

## Properties
Calculated density (g/cm³): 3.231
Calculated formation energy (eV/atom): -2.816
SG: R3

Geometry as POSCAR:
```
Ti3V2NiP6O24
1.0
4.328 2.499 6.921
-4.328 2.499 6.921
0.000 -4.998 6.921
Ti V Ni P O
3 2 1 6 24
direct
0.000 0.000 0.000
0.213 0.213 0.213
0.503 0.503 0.503
0.356 0.356 0.356
0.857 0.857 0.857
0.716 0.716 0.716
0.108 0.813 0.401
0.317 0.610 0.903
0.401 0.108 0.813
0.610 0.903 0.317
0.813 0.401 0.108
0.903 0.317 0.610
0.042 0.860 0.238
0.098 0.289 0.446
0.118 0.768 0.915
0.186 0.971 0.343
0.238 0.042 0.860
0.271 0.618 0.412
0.289 0.446 0.098
0.343 0.186 0.971
0.364 0.543 0.739
0.412 0.271 0.618
0.446 0.098 0.289
0.468 0.673 0.872
0.543 0.739 0.364
0.594 0.954 0.806
0.618 0.412 0.271
0.673 0.872 0.468
0.739 0.364 0.543
0.768 0.915 0.118
0.806 0.594 0.954
0.860 0.238 0.042
0.872 0.468 0.673
0.915 0.118 0.768
0.954 0.806 0.594
0.971 0.343 0.186
```